No. 1
The following is a PBE-GGA calculation of a geometry-optimized NdGeO3 structure, from the Materials Project database.

Its formation enthalpy at 0 K is -2.491 eV/atom. As for the energy: -34.6 eV per formula unit. As for the total magnetization: 0.00 μB per formula unit.

```
NdGeO3
1.0
3.9684 0.0000 0.0000
0.0000 3.9684 0.0000
0.0000 0.0000 3.9684
Nd Ge O
1 1 3
direct
0.0000 0.0000 0.0000
0.5000 0.5000 0.5000
0.5000 0.5000 0.0000
0.5000 0.0000 0.5000
0.0000 0.5000 0.5000
```

=====

No. 2
The following is a PBE-GGA calculation of a geometry-optimized Nd5Ge3O13 structure, from the Materials Project database.

Its formation enthalpy at 0 K is -3.088 eV/atom. As for the energy: -158.0 eV per formula unit. As for the total magnetization: 0.01 μB per formula unit.

```
Nd5Ge3O13
1.0
4.9454 -8.5657 0.0000
4.9454 8.5657 0.0000
0.0000 0.0000 7.2215
Nd Ge O
10 6 26
direct
0.6667 0.3333 0.0001
0.3333 0.6667 0.9999
0.3333 0.6667 0.5001
0.6667 0.3333 0.4999
0.7638 0.9944 0.7500
0.2362 0.0056 0.2500
0.2306 0.2362 0.7500
0.7694 0.7638 0.2500
0.0056 0.7694 0.7500
0.9944 0.2306 0.2500
0.9751 0.3728 0.7500
0.0249 0.6272 0.2500
0.3977 0.0249 0.7500
0.6023 0.9751 0.2500
0.6272 0.6023 0.7500
0.3728 0.3977 0.2500
0.5093 0.6903 0.7500
0.4907 0.3097 0.2500
0.1810 0.4907 0.7500
0.8190 0.5093 0.2500
0.3097 0.8190 0.7500
0.6903 0.1810 0.2500
0.9027 0.2441 0.9446
0.0973 0.7559 0.0554
0.3413 0.0973 0.9446
0.0973 0.7559 0.4446
0.6587 0.9027 0.0554
0.9027 0.2441 0.5554
0.7559 0.6587 0.9446
0.6587 0.9027 0.4446
0.2441 0.3413 0.0554
0.3413 0.0973 0.5554
0.2441 0.3413 0.4446
0.7559 0.6587 0.5554
0.0000 0.0000 0.7500
0.0000 0.0000 0.2500
0.8690 0.4763 0.7500
0.1310 0.5237 0.2500
0.6073 0.1310 0.7500
0.3927 0.8690 0.2500
0.5237 0.3927 0.7500
0.4763 0.6073 0.2500
```

=====

No. 3
The following is a PBE-GGA calculation of a geometry-optimized Nd2GeO5 structure, from the Materials Project database.

Its formation enthalpy at 0 K is -3.263 eV/atom. As for the energy: -61.6 eV per formula unit. The value obtained for the excess energy over the best structure of this formula in the dataset is 0.00 kcal/mol of atoms.

```
Nd2GeO5
1.0
-6.3885 0.4366 -3.5881
2.8714 -3.3145 -5.5158
-1.4357 -9.3366 1.4201
Nd Ge O
8 4 20
direct
0.6375 0.0633 0.1262
0.1375 0.4367 0.8738
0.3625 0.9367 0.8738
0.8625 0.5633 0.1262
0.1272 0.2677 0.5241
0.6272 0.2323 0.4759
0.8728 0.7323 0.4759
0.3728 0.7677 0.5241
0.0892 0.0309 0.1995
0.5892 0.4691 0.8005
0.9108 0.9691 0.8005
0.4108 0.5309 0.1995
0.9179 0.8417 0.2124
0.4179 0.6583 0.7876
0.0821 0.1583 0.7876
0.5821 0.3417 0.2124
0.9480 0.2345 0.1142
0.4480 0.2655 0.8858
0.0520 0.7655 0.8858
0.5520 0.7345 0.1142
0.1330 0.9926 0.3902
0.6330 0.5074 0.6098
0.8670 0.0074 0.6098
0.3670 0.4926 0.3902
0.2870 0.0120 0.1053
0.7870 0.4880 0.8947
0.7130 0.9880 0.8947
0.2130 0.5120 0.1053
0.8820 0.4409 0.3875
0.3820 0.0591 0.6125
0.1180 0.5591 0.6125
0.6180 0.9409 0.3875
```

=====

No. 4
The following is a PBE-GGA calculation of a geometry-optimized Nd3Ge13Os4 structure, from the Materials Project database.

Its formation enthalpy at 0 K is -0.329 eV/atom. As for the energy: -125.9 eV per formula unit. As for the total magnetization: 0.00 μB per formula unit.

```
Nd3Ge13Os4
1.0
9.1916 0.0000 0.0000
0.0000 9.1916 0.0000
0.0000 0.0000 9.1916
Nd Ge Os
6 26 8
direct
0.0000 0.5000 0.7500
0.5000 0.2500 0.0000
0.7500 0.0000 0.5000
0.0000 0.5000 0.2500
0.5000 0.7500 0.0000
0.2500 0.0000 0.5000
0.5000 0.5000 0.5000
0.0000 0.0000 0.0000
0.7985 0.3533 0.5000
0.6467 0.5000 0.7985
0.5000 0.2015 0.6467
0.2015 0.6467 0.5000
0.3533 0.5000 0.2015
0.5000 0.7985 0.3533
0.7985 0.6467 0.5000
0.6467 0.5000 0.2015
0.2015 0.3533 0.5000
0.3533 0.5000 0.7985
0.5000 0.7985 0.6467
0.5000 0.2015 0.3533
0.2985 0.0000 0.8533
0.1467 0.2985 0.0000
0.0000 0.1467 0.7015
0.7015 0.0000 0.1467
0.8533 0.7015 0.0000
0.0000 0.8533 0.2985
0.2985 0.0000 0.1467
0.1467 0.7015 0.0000
0.7015 0.0000 0.8533
0.8533 0.2985 0.0000
0.0000 0.1467 0.2985
0.0000 0.8533 0.7015
0.7500 0.2500 0.7500
0.2500 0.7500 0.2500
0.7500 0.7500 0.2500
0.2500 0.2500 0.7500
0.2500 0.7500 0.7500
0.7500 0.2500 0.2500
0.2500 0.2500 0.2500
0.7500 0.7500 0.7500
```

=====

No. 5
The following is a PBE-GGA calculation of a geometry-optimized NdGe2Pd structure, from the Materials Project database.

Its formation enthalpy at 0 K is -0.785 eV/atom. As for the energy: -22.3 eV per formula unit.

```
NdGe2Pd
1.0
-4.6305 4.6205 -6.1306
1.1613 -3.1595 8.3093
2.2228 3.6639 1.0825
Nd Ge Pd
2 4 2
direct
0.8925 0.1075 0.2500
0.1075 0.8925 0.7500
0.5363 0.4637 0.2500
0.4637 0.5363 0.7500
0.2523 0.7477 0.2500
0.7477 0.2523 0.7500
0.6772 0.3228 0.2500
0.3228 0.6772 0.7500
```

=====

No. 6
The following is a PBE-GGA calculation of a geometry-optimized Nd2Ge6Pd structure, from the Materials Project database.

Its formation enthalpy at 0 K is -0.534 eV/atom. As for the energy: -47.3 eV per formula unit. As for the total magnetization: 0.00 μB per formula unit.

```
Nd2Ge6Pd
1.0
2.3230 -3.3525 0.6060
-0.2133 0.6001 4.1374
-10.4048 -4.6487 0.1377
Nd Ge Pd
2 6 1
direct
0.7788 0.5000 0.5575
0.1159 0.5000 0.2318
0.4949 0.5000 0.9898
0.3832 0.5000 0.7665
0.9935 0.0000 0.9870
0.8816 0.0000 0.7632
0.6668 0.0000 0.3337
0.2354 0.0000 0.4708
0.5569 0.0000 0.1137
```

=====

No. 7
The following is a PBE-GGA calculation of a geometry-optimized Nd2Ge3Pd structure, from the Materials Project database.

Its formation enthalpy at 0 K is -0.818 eV/atom. As for the energy: -33.5 eV per formula unit.

```
Nd2Ge3Pd
1.0
4.1951 0.0000 0.0000
0.0000 4.3481 0.0000
0.0000 0.0000 7.3814
Nd Ge Pd
2 3 1
direct
0.0000 0.5000 0.9969
0.0000 0.0000 0.5012
0.5000 0.0000 0.8355
0.5000 0.0000 0.1732
0.5000 0.5000 0.6622
0.5000 0.5000 0.3309
```

=====

No. 8
The following is a PBE-GGA calculation of a geometry-optimized Nd3Ge6Pt4 structure, from the Materials Project database.

Its formation enthalpy at 0 K is -0.917 eV/atom. As for the energy: -78.2 eV per formula unit. As for the total magnetization: 0.00 μB per formula unit.

```
Nd3Ge6Pt4
1.0
-3.2526 -2.8406 1.1404
1.1766 -4.4310 -7.6816
17.6709 -15.5467 11.6746
Nd Ge Pt
12 24 16
direct
0.2500 0.3750 0.2792
0.7500 0.6250 0.7208
0.7500 0.8750 0.2208
0.2500 0.1250 0.7792
0.2500 0.1325 0.4077
0.7500 0.8675 0.5923
0.7500 0.6325 0.0923
0.2500 0.3675 0.9077
0.2500 0.6163 0.4081
0.7500 0.3837 0.5919
0.7500 0.1163 0.0919
0.2500 0.8837 0.9081
0.2500 0.7267 0.2858
0.7500 0.2733 0.7142
0.7500 0.2267 0.2142
0.2500 0.7733 0.7858
0.2500 0.3731 0.1415
0.7500 0.6269 0.8585
0.7500 0.8731 0.3585
0.2500 0.1269 0.6415
0.2500 0.0237 0.2855
0.7500 0.9763 0.7145
0.7500 0.5237 0.2145
0.2500 0.4763 0.7855
0.2500 0.8734 0.1382
0.7500 0.1266 0.8618
0.7500 0.3734 0.3618
0.2500 0.6266 0.6382
0.2500 0.1281 0.0023
0.7500 0.8719 0.9977
0.7500 0.6281 0.4977
0.2500 0.3719 0.5023
0.2500 0.8766 0.4988
0.7500 0.1234 0.5012
0.7500 0.3766 0.0012
0.2500 0.6234 0.9988
0.2500 0.6241 0.1872
0.7500 0.3759 0.8128
0.7500 0.1241 0.3128
0.2500 0.8759 0.6872
0.2500 0.6275 0.5437
0.7500 0.3725 0.4563
0.7500 0.1275 0.9563
0.2500 0.8725 0.0437
0.2500 0.1241 0.1873
0.7500 0.8759 0.8127
0.7500 0.6241 0.3127
0.2500 0.3759 0.6873
0.2500 0.3784 0.0482
0.7500 0.6216 0.9518
0.7500 0.8784 0.4518
0.2500 0.1216 0.5482
```

=====

No. 9
The following is a PBE-GGA calculation of a geometry-optimized Nd2Ge3Pt structure, from the Materials Project database.

Its formation enthalpy at 0 K is -0.870 eV/atom. As for the energy: -34.7 eV per formula unit.

```
Nd2Ge3Pt
1.0
-1.9108 -2.1691 3.0555
3.5430 0.4629 2.5443
-2.7672 6.2611 2.7143
Nd Ge Pt
2 3 1
direct
0.0000 0.5000 0.0020
0.0000 0.0000 0.4979
0.5000 0.0000 0.8344
0.5000 0.0000 0.1756
0.5000 0.5000 0.6607
0.5000 0.5000 0.3292
```

=====

No. 10
The following is a PBE-GGA calculation of a geometry-optimized NdGe2Pt2 structure, from the Materials Project database.

Its formation enthalpy at 0 K is -0.914 eV/atom. As for the energy: -30.7 eV per formula unit. As for the total magnetization: 0.03 μB per formula unit.

```
NdGe2Pt2
1.0
-3.9333 1.7786 0.7857
-1.4315 -1.4428 -3.9004
-3.0364 -8.6144 4.3010
Nd Ge Pt
2 4 4
direct
0.2570 0.0000 0.7473
0.7570 0.5000 0.2527
0.2328 0.0000 0.1321
0.7328 0.5000 0.8679
0.2753 0.5000 0.4995
0.7753 0.0000 0.5005
0.2755 0.0000 0.3761
0.7755 0.5000 0.6239
0.2315 0.5000 0.9997
0.7315 0.0000 0.0003
```

=====

No. 11
The following is a PBE-GGA calculation of a geometry-optimized NdGePt structure, from the Materials Project database.

Its formation enthalpy at 0 K is -1.008 eV/atom. As for the energy: -18.5 eV per formula unit.

```
NdGePt
1.0
2.2160 5.3197 0.0000
-2.2160 5.3197 0.0000
0.0000 4.9534 5.4211
Nd Ge Pt
2 2 2
direct
0.5454 0.5454 0.6915
0.4546 0.4546 0.3085
0.8383 0.8383 0.0981
0.1617 0.1617 0.9019
0.1803 0.1803 0.2806
0.8197 0.8197 0.7194
```

=====

No. 12
The following is a PBE-GGA calculation of a geometry-optimized NdGe2Pt2 structure, from the Materials Project database.

Its formation enthalpy at 0 K is -0.837 eV/atom. As for the energy: -30.3 eV per formula unit. As for the total magnetization: 0.00 μB per formula unit.

```
NdGe2Pt2
1.0
-2.2098 2.2098 5.0162
2.2098 -2.2098 5.0162
2.2098 2.2098 -5.0162
Nd Ge Pt
1 2 2
direct
0.0000 0.0000 0.0000
0.3742 0.3742 0.0000
0.6258 0.6258 0.0000
0.7500 0.2500 0.5000
0.2500 0.7500 0.5000
```

=====

No. 13
The following is a PBE-GGA calculation of a geometry-optimized Nd2Ge5Rh3 structure, from the Materials Project database.

Its formation enthalpy at 0 K is -0.817 eV/atom. As for the energy: -62.9 eV per formula unit. The value obtained for the excess energy over the best structure of this formula in the dataset is 0.00 kcal/mol of atoms.

```
Nd2Ge5Rh3
1.0
5.4337 -4.9182 -4.2701
1.9671 -4.2734 7.0580
-6.7269 1.0472 -5.0596
Nd Ge Rh
4 10 6
direct
0.5975 0.8665 0.7311
0.1354 0.3665 0.7689
0.4025 0.1335 0.2689
0.8646 0.6335 0.2311
0.5000 0.2500 0.7500
0.5000 0.7500 0.2500
0.2589 0.5989 0.6601
0.9388 0.0989 0.8399
0.7411 0.4011 0.3399
0.0612 0.9011 0.1601
0.2224 0.9724 0.7500
0.2224 0.4724 0.2500
0.7776 0.5276 0.7500
0.7776 0.0276 0.2500
0.0000 0.2500 0.2500
0.7467 0.1403 0.6065
0.4662 0.3597 0.1065
0.2533 0.8597 0.3935
0.0000 0.7500 0.7500
0.5338 0.6403 0.8935
```

=====

No. 14
The following is a PBE-GGA calculation of a geometry-optimized NdGeRh structure, from the Materials Project database.

Its formation enthalpy at 0 K is -0.891 eV/atom. As for the energy: -19.4 eV per formula unit.

```
NdGeRh
1.0
-3.8085 -1.1658 -2.0168
2.5692 -6.7067 -0.9748
-2.8875 -2.0729 6.6510
Nd Ge Rh
4 4 4
direct
0.2500 0.4913 0.6896
0.7500 0.5087 0.3104
0.2500 0.9913 0.8104
0.7500 0.0087 0.1896
0.2500 0.2980 0.1028
0.7500 0.7020 0.8972
0.2500 0.7980 0.3972
0.7500 0.2020 0.6028
0.7500 0.8481 0.5717
0.2500 0.1519 0.4283
0.7500 0.3481 0.9283
0.2500 0.6519 0.0717
```

=====

No. 15
The following is a PBE-GGA calculation of a geometry-optimized Nd2Ge5Rh3 structure, from the Materials Project database.

Its formation enthalpy at 0 K is -0.815 eV/atom. As for the energy: -62.9 eV per formula unit. The value obtained for the excess energy over the best structure of this formula in the dataset is 0.06 kcal/mol of atoms. As for the total magnetization: 0.00 μB per formula unit.

```
Nd2Ge5Rh3
1.0
6.0825 5.8704 0.0000
-6.0825 5.8704 0.0000
0.0000 3.0236 5.2384
Nd Ge Rh
4 10 6
direct
0.8649 0.5953 0.7679
0.4047 0.1351 0.7321
0.1351 0.4047 0.2321
0.5953 0.8649 0.2679
0.0652 0.2607 0.8362
0.7393 0.9348 0.6638
0.9348 0.7393 0.1638
0.2607 0.0652 0.3362
0.2167 0.7833 0.7500
0.7833 0.2167 0.2500
0.5049 0.4951 0.7500
0.4951 0.5049 0.2500
0.7767 0.2233 0.7500
0.2233 0.7767 0.2500
0.2544 0.5370 0.6142
0.4630 0.7456 0.8858
0.7456 0.4630 0.3858
0.5370 0.2544 0.1142
0.0013 0.9987 0.7500
0.9987 0.0013 0.2500
```

=====

No. 16
The following is a PBE-GGA calculation of a geometry-optimized NdGe2Rh structure, from the Materials Project database.

Its formation enthalpy at 0 K is -0.823 eV/atom. As for the energy: -24.7 eV per formula unit.

```
NdGe2Rh
1.0
-4.3334 0.0000 0.0000
0.0000 0.0000 -4.3985
2.1667 -8.5496 0.0000
Nd Ge Rh
2 4 2
direct
0.8933 0.7500 0.7865
0.1067 0.2500 0.2135
0.5400 0.7500 0.0801
0.4600 0.2500 0.9199
0.2516 0.7500 0.5033
0.7484 0.2500 0.4967
0.6805 0.7500 0.3610
0.3195 0.2500 0.6390
```

=====

No. 17
The following is a PBE-GGA calculation of a geometry-optimized NdGeRu structure, from the Materials Project database.

Its formation enthalpy at 0 K is -0.669 eV/atom. As for the energy: -20.7 eV per formula unit.

```
NdGeRu
1.0
4.3168 0.0000 0.0000
0.0000 4.3168 0.0000
0.0000 0.0000 6.9010
Nd Ge Ru
2 2 2
direct
0.0000 0.5000 0.3138
0.5000 0.0000 0.6862
0.0000 0.5000 0.8077
0.5000 0.0000 0.1923
0.0000 0.0000 0.0000
0.5000 0.5000 0.0000
```